# Pr2O3, optimized geometry, DFT PBE-GGA
data_Pr2O3
_chemical_formula_sum 'Pr2 O3'
_cell_length_a 3.8993
_cell_length_b 3.8993
_cell_length_c 6.1376
_cell_angle_alpha 90.00
_cell_angle_beta 90.00
_cell_angle_gamma 120.00
_symmetry_space_group_name_H-M 'P -3 m 1'
_symmetry_Int_Tables_number 164
_symmetry_space_group_name_Hall '-P 3 2"'
loop_
_atom_site_label
_atom_site_type_symbol
_atom_site_fract_x
_atom_site_fract_y
_atom_site_fract_z
Pr1 Pr 0.3333 0.6667 0.2487
O1 O 0.0000 0.0000 0.0000
O2 O 0.3333 0.6667 0.6446
# DFT formation energy = -357.9 kJ per mole of atoms
# volume = 80.82 Å³/f.u.

# Na2CaZrSiS2O12, optimized geometry, DFT PBE-GGA
data_Na2CaZrSiS2O12
_chemical_formula_sum 'Na24 Ca12 Zr12 Si12 S24 O144'
_cell_length_a 16.0171
_cell_length_b 9.2030
_cell_length_c 23.4831
_cell_angle_alpha 90.00
_cell_angle_beta 90.40
_cell_angle_gamma 90.00
_symmetry_space_group_name_H-M 'C 1 c 1'
_symmetry_Int_Tables_number 9
_symmetry_space_group_name_Hall 'C -2yc'
loop_
_atom_site_label
_atom_site_type_symbol
_atom_site_fract_x
_atom_site_fract_y
_atom_site_fract_z
Na1 Na 0.0000 0.0058 0.0000
Na2 Na 0.1685 0.1802 0.4119
Na3 Na 0.1783 0.4893 0.3335
Na4 Na 0.3279 0.3265 0.2473
Na5 Na 0.3446 0.0251 0.1661
Na6 Na 0.3636 0.3202 0.5797
Ca1 Ca 0.0138 0.0004 0.3577
Ca2 Ca 0.1819 0.4907 0.1911
Ca3 Ca 0.3543 0.0099 0.0250
Zr1 Zr 0.0234 0.0012 0.1562
Zr2 Zr 0.1954 0.4961 0.9893
Zr3 Zr 0.3452 0.0084 0.3232
Si1 Si 0.1674 0.1489 0.2634
Si2 Si 0.3393 0.3527 0.0970
Si3 Si 0.3501 0.2997 0.4292
S1 S 0.0018 0.3576 0.4233
S2 S 0.0137 0.2941 0.7573
S3 S 0.0376 0.3453 0.0902
S4 S 0.1805 0.2073 0.5896
S5 S 0.2051 0.1522 0.9237
S6 S 0.3719 0.3437 0.7549
O1 O 0.0007 0.1954 0.7059
O2 O 0.0186 0.2000 0.4187
O3 O 0.0230 0.2082 0.8087
O4 O 0.0328 0.1799 0.0946
O5 O 0.0739 0.4052 0.1418
O6 O 0.0851 0.3899 0.7495
O7 O 0.0858 0.4330 0.4270
O8 O 0.0881 0.3804 0.0389
O9 O 0.1035 0.1134 0.5940
O10 O 0.1127 0.0794 0.2075
O11 O 0.1223 0.0853 0.9168
O12 O 0.1236 0.1116 0.3223
O13 O 0.1687 0.2998 0.5366
O14 O 0.1881 0.3208 0.2582
O15 O 0.1891 0.2996 0.6396
O16 O 0.1959 0.3149 0.9281
O17 O 0.2448 0.0930 0.9744
O18 O 0.2553 0.1156 0.5845
O19 O 0.2558 0.3903 0.4294
O20 O 0.2588 0.1240 0.8721
O21 O 0.2637 0.0658 0.2625
O22 O 0.2849 0.4302 0.0398
O23 O 0.2867 0.4030 0.7488
O24 O 0.2911 0.3951 0.1540
O25 O 0.3368 0.1831 0.3721
O26 O 0.3508 0.2097 0.4873
O27 O 0.3527 0.1819 0.0900
O28 O 0.3689 0.1831 0.7611
O29 O 0.4103 0.4138 0.8046
O30 O 0.4235 0.3790 0.7025
O31 O 0.4260 0.4101 0.4217
O32 O 0.4293 0.4486 0.0973
O33 O 0.4331 0.1189 0.2606
O34 O 0.4501 0.1049 0.5849
O35 O 0.4534 0.1161 0.9744
O36 O 0.4567 0.0862 0.8715
# DFT formation energy = -255.5 kJ per mole of atoms
# size of the total moment = 0.00 μB/f.u.
# volume = 288.46 Å³/f.u.

# La10S14O, optimized geometry, DFT PBE-GGA
data_La10S14O
_chemical_formula_sum 'La80 S112 O8'
_cell_length_a 15.3952
_cell_length_b 15.3952
_cell_length_c 20.4332
_cell_angle_alpha 90.00
_cell_angle_beta 90.00
_cell_angle_gamma 90.00
_symmetry_space_group_name_H-M 'I 41/a c d'
_symmetry_Int_Tables_number 142
loop_
_symmetry_equiv_pos_as_xyz
'x,y,z'
'-x,-y,-z'
'-y+1/4,x+3/4,z+1/4'
'y+1/4,-x+3/4,-z+1/4'
'-x+1/2,-y,z+1/2'
'x+1/2,y,-z+1/2'
'y+1/4,-x+1/4,z+3/4'
'-y+1/4,x+1/4,-z+3/4'
'x,-y,-z+1/2'
'-x,y,z+1/2'
'-y+1/4,-x+1/4,-z+1/4'
'y+1/4,x+1/4,z+1/4'
'-x+1/2,y,-z'
'x+1/2,-y,z'
'y+1/4,x+3/4,-z+3/4'
'-y+1/4,-x+3/4,z+3/4'
'x+1/2,y+1/2,z+1/2'
'-x+1/2,-y+1/2,-z+1/2'
'-y+3/4,x+1/4,z+3/4'
'y+3/4,-x+1/4,-z+3/4'
'-x,-y+1/2,z'
'x,y+1/2,-z'
'y+3/4,-x+3/4,z+1/4'
'-y+3/4,x+3/4,-z+1/4'
'x+1/2,-y+1/2,-z'
'-x+1/2,y+1/2,z'
'-y+3/4,-x+3/4,-z+3/4'
'y+3/4,x+3/4,z+3/4'
'-x,y+1/2,-z+1/2'
'x,-y+1/2,z+1/2'
'y+3/4,x+1/4,-z+1/4'
'-y+3/4,-x+1/4,z+1/4'
loop_
_atom_site_label
_atom_site_type_symbol
_atom_site_fract_x
_atom_site_fract_y
_atom_site_fract_z
La1 La 0.0062 0.1176 0.3079
La2 La 0.1281 0.0276 0.5467
La3 La 0.1346 0.1154 0.1250
S1 S 0.0247 0.1171 0.0027
S2 S 0.0382 0.0710 0.6717
S3 S 0.1473 0.0000 0.2500
S4 S 0.1571 0.0723 0.4068
O1 O 0.0000 0.2500 0.3750
# DFT formation energy = -251.9 kJ per mole of atoms
# size of the total moment = 0.00 μB/f.u.
# volume = 605.36 Å³/f.u.

# Na2U2O7, optimized geometry, DFT PBE-GGA
data_Na2U2O7
_chemical_formula_sum 'Na4 U4 O14'
_cell_length_a 6.5771
_cell_length_b 7.9292
_cell_length_c 6.9421
_cell_angle_alpha 90.00
_cell_angle_beta 110.63
_cell_angle_gamma 90.00
_symmetry_space_group_name_H-M 'P 1 21 1'
_symmetry_Int_Tables_number 4
_symmetry_space_group_name_Hall 'P 2yb'
loop_
_atom_site_label
_atom_site_type_symbol
_atom_site_fract_x
_atom_site_fract_y
_atom_site_fract_z
Na1 Na 0.0058 0.0000 0.4971
Na2 Na 0.0355 0.2458 0.0024
U1 U 0.4979 0.2644 0.4841
U2 U 0.4985 0.5113 0.0316
O1 O 0.1910 0.2665 0.3834
O2 O 0.1925 0.5230 0.9293
O3 O 0.1945 0.7524 0.4199
O4 O 0.1976 0.0120 0.8632
O5 O 0.4772 0.2408 0.1521
O6 O 0.4873 0.0207 0.6318
O7 O 0.4991 0.3573 0.7769
# DFT formation energy = -315.8 kJ per mole of atoms
# size of the total moment = 0.00 μB/f.u.
# volume = 169.41 Å³/f.u.
# distance to the lowest polymorph of the same formula = 4.3 meV/atom

# La3In2Ga3O12, optimized geometry, DFT PBE-GGA
data_La3In2Ga3O12
_chemical_formula_sum 'La24 In16 Ga24 O96'
_cell_length_a 13.0870
_cell_length_b 13.0870
_cell_length_c 13.0870
_cell_angle_alpha 90.00
_cell_angle_beta 90.00
_cell_angle_gamma 90.00
_symmetry_space_group_name_H-M 'I a -3 d'
_symmetry_Int_Tables_number 230
_symmetry_space_group_name_Hall '-I 4bd 2c 3'
loop_
_atom_site_label
_atom_site_type_symbol
_atom_site_fract_x
_atom_site_fract_y
_atom_site_fract_z
La1 La 0.0000 0.2500 0.1250
In1 In 0.0000 0.0000 0.0000
Ga1 Ga 0.0000 0.2500 0.3750
O1 O 0.0308 0.0557 0.6559
# DFT formation energy = -277.2 kJ per mole of atoms
# size of the total moment = 0.00 μB/f.u.
# volume = 280.17 Å³/f.u.

# Na2Sm2MgTi2O8, optimized geometry, DFT PBE-GGA
data_Na2Sm2MgTi2O8
_chemical_formula_sum 'Na2 Sm2 Mg1 Ti2 O8'
_cell_length_a 3.6653
_cell_length_b 3.6653
_cell_length_c 16.4909
_cell_angle_alpha 90.00
_cell_angle_beta 90.00
_cell_angle_gamma 90.00
_symmetry_space_group_name_H-M 'P 4 m m'
_symmetry_Int_Tables_number 99
_symmetry_space_group_name_Hall 'P 4 -2'
loop_
_atom_site_label
_atom_site_type_symbol
_atom_site_fract_x
_atom_site_fract_y
_atom_site_fract_z
Na1 Na 0.0000 0.0000 0.0000
Na2 Na 0.5000 0.5000 0.1258
Sm1 Sm 0.0000 0.0000 0.7440
Sm2 Sm 0.5000 0.5000 0.5763
Mg1 Mg 0.5000 0.5000 0.3536
Ti1 Ti 0.0000 0.0000 0.2497
Ti2 Ti 0.5000 0.5000 0.8769
O1 O 0.0000 0.0000 0.1415
O2 O 0.0000 0.0000 0.5998
O3 O 0.0000 0.5000 0.2887
O4 O 0.0000 0.5000 0.8408
O5 O 0.5000 0.5000 0.7096
O6 O 0.5000 0.5000 0.9852
# DFT formation energy = -292.3 kJ per mole of atoms
# size of the total moment = 0.05 μB/f.u.
# volume = 221.54 Å³/f.u.
# distance to the lowest polymorph of the same formula = 3.6 meV/atom

# InH3O3, optimized geometry, DFT PBE-GGA
data_InH3O3
_chemical_formula_sum 'In12 H36 O36'
_cell_length_a 11.4514
_cell_length_b 11.4514
_cell_length_c 6.9860
_cell_angle_alpha 90.00
_cell_angle_beta 90.00
_cell_angle_gamma 120.00
_symmetry_space_group_name_H-M 'R -3'
_symmetry_Int_Tables_number 148
_symmetry_space_group_name_Hall '-R 3'
loop_
_atom_site_label
_atom_site_type_symbol
_atom_site_fract_x
_atom_site_fract_y
_atom_site_fract_z
In1 In 0.0000 0.0000 0.0000
In2 In 0.0000 0.5000 0.0000
H1 H 0.0216 0.5979 0.6523
H2 H 0.0747 0.8791 0.7421
O1 O 0.0058 0.1644 0.1722
O2 O 0.0526 0.2718 0.6030
# DFT formation energy = -149.5 kJ per mole of atoms
# volume = 66.11 Å³/f.u.
# distance to the lowest polymorph of the same formula = 0.0 meV/atom

# NdF3, optimized geometry, DFT PBE-GGA
data_NdF3
_chemical_formula_sum 'Nd6 F18'
_cell_length_a 7.0882
_cell_length_b 7.0882
_cell_length_c 7.2767
_cell_angle_alpha 90.00
_cell_angle_beta 90.00
_cell_angle_gamma 120.00
_symmetry_space_group_name_H-M 'P -3 c 1'
_symmetry_Int_Tables_number 165
_symmetry_space_group_name_Hall '-P 3 2"c'
loop_
_atom_site_label
_atom_site_type_symbol
_atom_site_fract_x
_atom_site_fract_y
_atom_site_fract_z
Nd1 Nd 0.0000 0.3442 0.2500
F1 F 0.0000 0.0000 0.2500
F2 F 0.0634 0.3722 0.5801
F3 F 0.3333 0.6667 0.3168
# DFT formation energy = -426.0 kJ per mole of atoms
# volume = 52.77 Å³/f.u.

Among the records above, which one has the lowest DFT formation energy?
NdF3

Number 3 is which compound?
La10S14O

Which of these has the highest DFT formation energy?
InH3O3